1.
This record from the Materials Project describes NdAl2Au2 after structural relaxation. The functional is meta-GGA r2SCAN.

Cell: 4.387 4.387 10.468 Å, 90.00 90.00 90.00°
Fractional coordinates of all 10 atoms:
Nd  0.000  0.500  0.249
Au  0.500  0.500  0.000
Al  0.500  0.000  0.131
Al  0.500  0.500  0.500
Al  0.000  0.500  0.869
Al  0.000  0.000  0.500
Au  0.000  0.000  0.000
Au  0.000  0.500  0.630
Au  0.500  0.000  0.370
Nd  0.500  0.000  0.751

ρ in g cm⁻³: 9.76
Total magnetic moment in μB/cell: 0.00
DFT formation energy in eV per atom: -0.833


2.
This record from the Materials Project describes In4Bi2S9 after structural relaxation. The functional is meta-GGA r2SCAN.

Cell: 3.942 11.258 16.466 Å, 85.82 90.00 90.00°
Fractional coordinates of all 30 atoms:
In  0.250  0.492  0.405
S  0.250  0.149  0.220
Bi  0.750  0.134  0.574
In  0.250  0.862  0.682
S  0.750  0.904  0.316
S  0.750  0.731  0.077
S  0.250  0.638  0.655
S  0.250  0.592  0.915
Bi  0.250  0.891  0.098
S  0.250  0.096  0.684
S  0.250  0.269  0.923
S  0.750  0.362  0.345
In  0.250  0.499  0.785
S  0.250  0.099  0.434
S  0.250  0.615  0.258
S  0.750  0.087  0.059
S  0.750  0.385  0.742
In  0.750  0.508  0.595
S  0.250  0.913  0.941
Bi  0.750  0.109  0.902
In  0.750  0.739  0.918
In  0.750  0.138  0.318
In  0.750  0.501  0.215
S  0.250  0.375  0.546
S  0.750  0.851  0.780
Bi  0.250  0.866  0.426
In  0.250  0.261  0.082
S  0.750  0.901  0.566
S  0.750  0.625  0.454
S  0.750  0.408  0.085

ρ in g cm⁻³: 5.31
Total magnetic moment in μB/cell: 0.00
DFT formation energy in eV per atom: -0.632


3.
This record from the Materials Project describes Cs3ScI6 after structural relaxation. The functional is meta-GGA r2SCAN.

Cell: 9.152 9.152 9.152 Å, 60.00 60.00 60.00°
Fractional coordinates of all 10 atoms:
I  0.777  0.777  0.223
Cs  0.500  0.500  0.500
Cs  0.750  0.750  0.750
I  0.777  0.223  0.223
Cs  0.250  0.250  0.250
Sc  0.000  0.000  0.000
I  0.777  0.223  0.777
I  0.223  0.777  0.777
I  0.223  0.777  0.223
I  0.223  0.223  0.777

ρ in g cm⁻³: 3.69
Total magnetic moment in μB/cell: 0.00
DFT formation energy in eV per atom: -1.606


4.
This record from the Materials Project describes DyCo5P3 after structural relaxation. The functional is meta-GGA r2SCAN.

Cell: 3.639 10.188 11.646 Å, 90.00 90.00 90.00°
Fractional coordinates of all 36 atoms:
Co  0.750  0.383  0.802
P  0.750  0.771  0.633
Co  0.250  0.883  0.698
Co  0.750  0.211  0.511
Dy  0.750  0.418  0.299
P  0.250  0.420  0.114
Dy  0.750  0.082  0.799
P  0.250  0.080  0.614
Co  0.250  0.095  0.987
Co  0.750  0.778  0.825
Co  0.250  0.467  0.933
P  0.250  0.229  0.367
Co  0.750  0.905  0.013
Co  0.250  0.222  0.175
Co  0.750  0.117  0.302
Co  0.250  0.789  0.489
P  0.750  0.580  0.886
Co  0.250  0.278  0.675
Co  0.750  0.722  0.325
Dy  0.250  0.582  0.701
Co  0.250  0.617  0.198
P  0.250  0.898  0.893
Co  0.750  0.967  0.567
Co  0.250  0.711  0.989
P  0.750  0.398  0.607
P  0.750  0.729  0.133
Co  0.750  0.289  0.011
P  0.250  0.271  0.867
Co  0.750  0.595  0.513
Dy  0.250  0.918  0.201
Co  0.750  0.533  0.067
P  0.250  0.602  0.393
Co  0.250  0.405  0.487
P  0.750  0.920  0.386
P  0.750  0.102  0.107
Co  0.250  0.033  0.433

ρ in g cm⁻³: 8.46
Total magnetic moment in μB/cell: 8.16
DFT formation energy in eV per atom: -0.785


5.
This record from the Materials Project describes MnNi3 after structural relaxation. The functional is meta-GGA r2SCAN.

Cell: 3.543 3.543 3.544 Å, 90.00 90.00 90.00°
Fractional coordinates of all 4 atoms:
Ni  0.500  0.000  0.500
Mn  0.000  0.000  0.000
Ni  0.000  0.500  0.500
Ni  0.500  0.500  0.000

ρ in g cm⁻³: 8.62
Total magnetic moment in μB/cell: 5.45
DFT formation energy in eV per atom: -0.236


6.
This record from the Materials Project describes Kr after structural relaxation. The functional is meta-GGA r2SCAN.

Cell: 4.096 4.096 4.096 Å, 60.00 60.00 60.00°
Fractional coordinates of all 1 atoms:
Kr  0.000  0.000  0.000

ρ in g cm⁻³: 2.86
Total magnetic moment in μB/cell: 0.00
DFT formation energy in eV per atom: 0.008
Polymorph energy (0 for the lowest one) in meV/atom: 8


7.
This record from the Materials Project describes KTm2F7 after structural relaxation. The functional is meta-GGA r2SCAN.

Cell: 8.053 8.053 11.717 Å, 59.79 59.79 58.34°
Fractional coordinates of all 40 atoms:
K  0.267  0.267  0.152
F  0.835  0.366  0.585
F  0.366  0.835  0.585
F  0.397  0.397  0.249
F  0.656  0.999  0.239
K  0.237  0.237  0.520
F  0.344  0.001  0.761
Tm  0.241  0.759  0.500
F  0.004  0.004  0.767
F  0.381  0.855  0.263
Tm  0.741  0.741  0.179
F  0.331  0.996  0.999
F  0.001  0.344  0.761
F  0.004  0.669  0.001
Tm  0.259  0.259  0.821
Tm  0.264  0.738  0.819
Tm  0.738  0.264  0.819
F  0.395  0.395  0.588
K  0.733  0.733  0.848
F  0.999  0.656  0.239
F  0.677  0.323  0.000
F  0.996  0.996  0.233
F  0.634  0.165  0.415
Tm  0.759  0.241  0.500
F  0.387  0.387  0.881
F  0.613  0.613  0.119
F  0.105  0.105  0.426
F  0.323  0.677  0.000
F  0.603  0.603  0.751
F  0.895  0.895  0.574
F  0.165  0.634  0.415
Tm  0.262  0.736  0.181
F  0.996  0.331  0.999
Tm  0.736  0.262  0.181
F  0.619  0.145  0.737
F  0.145  0.619  0.737
F  0.855  0.381  0.263
F  0.605  0.605  0.412
F  0.669  0.004  0.001
K  0.763  0.763  0.480

ρ in g cm⁻³: 6.41
Total magnetic moment in μB/cell: 0.00
DFT formation energy in eV per atom: -4.254


8.
This record from the Materials Project describes BPt after structural relaxation. The functional is meta-GGA r2SCAN.

Cell: 3.734 3.734 3.649 Å, 90.00 90.00 120.00°
Fractional coordinates of all 4 atoms:
Pt  0.333  0.667  0.250
B  0.000  0.000  0.500
B  0.000  0.000  0.000
Pt  0.667  0.333  0.750

ρ in g cm⁻³: 15.52
Total magnetic moment in μB/cell: 0.00
DFT formation energy in eV per atom: 0.056


9.
This record from the Materials Project describes CaCeHg2 after structural relaxation. The functional is meta-GGA r2SCAN.

Cell: 5.378 5.378 5.378 Å, 60.00 60.00 60.00°
Fractional coordinates of all 4 atoms:
Hg  0.750  0.750  0.750
Ca  0.000  0.000  0.000
Hg  0.250  0.250  0.250
Ce  0.500  0.500  0.500

ρ in g cm⁻³: 8.78
Total magnetic moment in μB/cell: 1.15
DFT formation energy in eV per atom: -0.578


10.
This record from the Materials Project describes KS3 after structural relaxation. The functional is meta-GGA r2SCAN.

Cell: 6.498 11.950 12.025 Å, 90.00 104.72 90.00°
Fractional coordinates of all 32 atoms:
S  0.781  0.389  0.561
S  0.298  0.055  0.224
S  0.310  0.583  0.843
S  0.190  0.083  0.657
K  0.285  0.385  0.583
S  0.281  0.111  0.061
S  0.704  0.374  0.995
S  0.798  0.445  0.724
S  0.796  0.874  0.505
K  0.198  0.362  0.981
S  0.719  0.889  0.939
S  0.690  0.417  0.157
S  0.204  0.126  0.495
K  0.698  0.138  0.481
S  0.296  0.626  0.005
S  0.713  0.114  0.773
S  0.219  0.611  0.439
S  0.810  0.917  0.343
S  0.787  0.614  0.727
K  0.715  0.615  0.417
S  0.702  0.945  0.776
S  0.398  0.174  0.777
S  0.898  0.326  0.277
S  0.202  0.555  0.276
K  0.302  0.862  0.519
K  0.215  0.885  0.917
S  0.102  0.674  0.723
S  0.602  0.826  0.223
K  0.785  0.115  0.083
S  0.213  0.386  0.273
K  0.802  0.638  0.019
S  0.287  0.886  0.227

ρ in g cm⁻³: 1.99
Total magnetic moment in μB/cell: 0.00
DFT formation energy in eV per atom: -0.618


11.
This record from the Materials Project describes K2GeSe4 after structural relaxation. The functional is meta-GGA r2SCAN.

Cell: 8.336 9.013 12.024 Å, 73.81 90.00 90.00°
Fractional coordinates of all 28 atoms:
K  0.075  0.229  0.453
Ge  0.133  0.952  0.758
Se  0.377  0.464  0.301
Se  0.449  0.190  0.862
K  0.925  0.771  0.547
Se  0.169  0.463  0.625
Se  0.949  0.310  0.138
Se  0.331  0.963  0.625
K  0.425  0.729  0.453
Ge  0.367  0.452  0.758
Ge  0.867  0.048  0.242
Se  0.214  0.046  0.922
Se  0.551  0.810  0.138
K  0.089  0.693  0.156
Se  0.051  0.690  0.862
Se  0.831  0.537  0.375
K  0.911  0.307  0.844
Ge  0.633  0.548  0.242
Se  0.669  0.037  0.375
Se  0.714  0.454  0.078
Se  0.623  0.536  0.699
Se  0.877  0.036  0.699
K  0.589  0.807  0.844
K  0.411  0.193  0.156
Se  0.123  0.964  0.301
Se  0.786  0.954  0.078
Se  0.286  0.546  0.922
K  0.575  0.271  0.547

ρ in g cm⁻³: 3.57
Total magnetic moment in μB/cell: 0.00
DFT formation energy in eV per atom: -0.889


12.
This record from the Materials Project describes Gd after structural relaxation. The functional is meta-GGA r2SCAN.

Cell: 9.148 9.148 9.148 Å, 23.01 23.01 23.01°
Fractional coordinates of all 3 atoms:
Gd  0.000  0.000  0.000
Gd  0.777  0.777  0.777
Gd  0.223  0.223  0.223

ρ in g cm⁻³: 7.63
Total magnetic moment in μB/cell: 23.92
DFT formation energy in eV per atom: 0.029
Polymorph energy (0 for the lowest one) in meV/atom: 29


13.
This record from the Materials Project describes NdDyIn2 after structural relaxation. The functional is meta-GGA r2SCAN.

Cell: 5.380 5.380 5.380 Å, 60.00 60.00 60.00°
Fractional coordinates of all 4 atoms:
Dy  0.500  0.500  0.500
Nd  0.000  0.000  0.000
In  0.750  0.750  0.750
In  0.250  0.250  0.250

ρ in g cm⁻³: 8.09
Total magnetic moment in μB/cell: 0.00
DFT formation energy in eV per atom: -0.606


14.
This record from the Materials Project describes NaPrZrTiO6 after structural relaxation. The functional is meta-GGA r2SCAN.

Cell: 5.636 5.636 5.636 Å, 60.00 60.00 60.00°
Fractional coordinates of all 10 atoms:
Zr  0.500  0.500  0.500
O  0.757  0.243  0.243
O  0.757  0.757  0.243
O  0.243  0.757  0.243
Pr  0.750  0.750  0.750
Na  0.250  0.250  0.250
O  0.243  0.243  0.757
O  0.243  0.757  0.757
Ti  0.000  0.000  0.000
O  0.757  0.243  0.757

ρ in g cm⁻³: 5.23
Total magnetic moment in μB/cell: 0.00
DFT formation energy in eV per atom: -3.275


15.
This record from the Materials Project describes PrNbO4 after structural relaxation. The functional is meta-GGA r2SCAN.

Cell: 5.229 5.519 6.802 Å, 112.33 110.94 93.83°
Fractional coordinates of all 12 atoms:
Nb  0.644  0.394  0.288
O  0.085  0.774  0.565
O  0.915  0.226  0.435
Pr  0.121  0.871  0.242
O  0.700  0.859  0.915
O  0.520  0.709  0.435
O  0.215  0.555  0.915
Pr  0.879  0.129  0.758
O  0.785  0.445  0.085
Nb  0.356  0.606  0.712
O  0.480  0.291  0.565
O  0.300  0.141  0.085

ρ in g cm⁻³: 6.00
Total magnetic moment in μB/cell: 0.00
DFT formation energy in eV per atom: -3.312


16.
This record from the Materials Project describes BaGe2Rh2 after structural relaxation. The functional is meta-GGA r2SCAN.

Cell: 4.185 4.185 6.838 Å, 107.82 107.82 89.99°
Fractional coordinates of all 5 atoms:
Ba  0.000  0.000  0.000
Rh  0.750  0.250  0.500
Ge  0.650  0.650  0.299
Rh  0.250  0.750  0.500
Ge  0.350  0.350  0.701

ρ in g cm⁻³: 7.51
Total magnetic moment in μB/cell: 0.00
DFT formation energy in eV per atom: -0.803


17.
This record from the Materials Project describes Zn3Ni after structural relaxation. The functional is meta-GGA r2SCAN.

Cell: 4.642 4.642 4.642 Å, 134.20 134.20 66.78°
Fractional coordinates of all 4 atoms:
Zn  0.250  0.750  0.500
Ni  0.000  0.000  0.000
Zn  0.500  0.500  0.000
Zn  0.750  0.250  0.500

ρ in g cm⁻³: 8.37
Total magnetic moment in μB/cell: 0.00
DFT formation energy in eV per atom: -0.160


18.
This record from the Materials Project describes SiMo3 after structural relaxation. The functional is meta-GGA r2SCAN.

Cell: 4.890 4.890 4.890 Å, 90.00 90.00 90.00°
Fractional coordinates of all 8 atoms:
Mo  0.500  0.250  0.000
Mo  0.000  0.500  0.250
Si  0.500  0.500  0.500
Mo  0.000  0.500  0.750
Si  0.000  0.000  0.000
Mo  0.500  0.750  0.000
Mo  0.750  0.000  0.500
Mo  0.250  0.000  0.500

ρ in g cm⁻³: 8.97
Total magnetic moment in μB/cell: 0.00
DFT formation energy in eV per atom: -0.322


19.
This record from the Materials Project describes Al2CoNi after structural relaxation. The functional is meta-GGA r2SCAN.

Cell: 2.864 2.864 5.647 Å, 90.00 90.00 90.00°
Fractional coordinates of all 4 atoms:
Al  0.000  0.000  0.756
Co  0.500  0.500  0.000
Al  0.000  0.000  0.244
Ni  0.500  0.500  0.500

ρ in g cm⁻³: 6.15
Total magnetic moment in μB/cell: 0.79
DFT formation energy in eV per atom: -0.625


20.
This record from the Materials Project describes Er2InPd2 after structural relaxation. The functional is meta-GGA r2SCAN.

Cell: 3.599 7.693 7.693 Å, 90.00 90.00 90.00°
Fractional coordinates of all 10 atoms:
Er  0.500  0.172  0.672
Er  0.500  0.828  0.328
Pd  0.000  0.628  0.128
Pd  0.000  0.872  0.628
In  0.000  0.000  0.000
Pd  0.000  0.128  0.372
Er  0.500  0.672  0.828
Pd  0.000  0.372  0.872
Er  0.500  0.328  0.172
In  0.000  0.500  0.500

ρ in g cm⁻³: 10.33
Total magnetic moment in μB/cell: 0.00
DFT formation energy in eV per atom: -0.951